Record 1
{
  "formula": "NdHg3",
  "functional": "GGA-PBE",
  "state": "optimized geometry",
  "delta_e_f_ev_per_atom": -0.40,
  "sg": "P6_3/mmc",
  "volume_a3_per_atom": 25.5,
  "cell": [[1.869, 4.451, -4.769], [-4.356, 1.862, 4.858], [3.908, 1.498, 2.929]],
  "species": ["Hg", "Hg", "Hg", "Hg", "Hg", "Hg", "Nd", "Nd"],
  "fractional_positions": [[0.672, 0.836, 0.250], [0.836, 0.672, 0.750], [0.836, 0.164, 0.750], [0.164, 0.836, 0.250], [0.328, 0.164, 0.750], [0.164, 0.328, 0.250], [0.667, 0.333, 0.250], [0.333, 0.667, 0.750]]
}

Record 2
{
  "formula": "HoAsS",
  "functional": "GGA-PBE",
  "state": "optimized geometry",
  "delta_e_f_ev_per_atom": -1.71,
  "sg": "Pnma",
  "volume_a3_per_atom": 20.6,
  "cell": [[3.813, 0.000, 0.000], [0.000, 3.829, 0.000], [0.000, 0.000, 16.967]],
  "species": ["S", "S", "S", "S", "Ho", "Ho", "Ho", "Ho", "As", "As", "As", "As"],
  "fractional_positions": [[0.750, 0.719, 0.813], [0.250, 0.281, 0.187], [0.250, 0.219, 0.687], [0.750, 0.781, 0.313], [0.250, 0.281, 0.354], [0.750, 0.719, 0.646], [0.750, 0.781, 0.146], [0.250, 0.219, 0.854], [0.250, 0.780, 0.498], [0.750, 0.280, 0.002], [0.250, 0.720, 0.998], [0.750, 0.220, 0.502]]
}

Record 3
{
  "formula": "TmNbRu2",
  "functional": "GGA-PBE",
  "state": "optimized geometry",
  "delta_e_f_ev_per_atom": -0.39,
  "sg": "Fm-3m",
  "volume_a3_per_atom": 17.3,
  "cell": [[0.000, 3.259, 3.259], [3.259, 0.000, 3.259], [3.259, 3.259, 0.000]],
  "species": ["Nb", "Ru", "Ru", "Tm"],
  "fractional_positions": [[0.500, 0.500, 0.500], [0.250, 0.250, 0.250], [0.750, 0.750, 0.750], [0.000, 0.000, 0.000]]
}

no.,electronic total energy (eV/atom)
1,-1.82
2,-6.00
3,-8.67